(1)
Here is Ca3Co2O6 after structural relaxation from the Materials Project database. Energies are from GGA+U.

extended XYZ file:
```
11
Lattice="3.398 0.000 0.000 0.098 6.555 0.000 0.988 1.043 9.850" Properties=species:S:1:pos:R:3 pbc="T T T"
O 1.434 4.645 6.887
O 3.361 3.025 4.976
O 3.481 6.348 4.965
O 1.417 1.220 3.082
O 1.517 4.811 3.147
O 1.375 1.394 6.985
Ca 3.184 6.284 2.793
Ca 3.075 3.004 7.120
Ca 3.122 6.304 7.052
Co 1.197 4.548 4.848
Co 1.099 1.466 4.791
```

Its space group is P1. For the calculated formation energy, the calculation gives -2.021 eV/atom. The total energy comes out at -5.887 eV per atom.

(2)
Here is CaCo2O4 after structural relaxation from the Materials Project database. Energies are from GGA+U.

extended XYZ file:
```
42
Lattice="1.298 1.039 5.927 1.401 -4.626 3.811 14.372 1.379 -2.993" Properties=species:S:1:pos:R:3 pbc="T T T"
Ca 4.182 -2.150 5.962
Ca 10.085 0.338 -0.415
Ca 6.993 -2.541 7.146
Ca 7.179 0.688 -1.492
Ca 16.027 -1.683 5.289
Ca 12.881 -0.050 0.760
O 14.412 0.888 2.053
O 9.924 -2.710 3.608
O 6.563 -0.089 0.557
O 2.183 -1.154 3.198
O 7.154 0.499 3.129
O 12.961 -2.905 4.381
O 13.413 0.732 -1.307
O 12.222 -0.820 2.791
O 4.176 -1.951 1.392
O 2.634 -3.199 4.727
O 14.456 -1.555 1.141
O 2.586 -0.598 5.698
O 9.114 -0.404 1.525
O 12.913 -0.264 5.367
O 10.521 -2.121 6.193
O 9.875 -0.002 4.619
O 14.796 -1.038 3.501
O 3.812 -2.931 8.034
O 7.962 -1.801 5.211
O 3.417 0.288 -0.604
O 4.128 0.693 2.380
O 4.840 -1.389 3.956
O 7.203 -2.199 2.122
O 13.724 -2.497 7.357
Co 6.773 -1.241 3.653
Co 3.540 -2.657 3.073
Co 10.268 -0.965 3.085
Co 15.702 -0.422 1.894
Co 13.542 0.434 3.669
Co 4.615 -0.233 0.848
Co 13.592 -2.299 2.648
Co 7.886 -1.621 0.409
Co 7.835 1.207 1.465
Co 12.442 -1.980 5.907
Co 0.975 -0.488 1.353
Co 3.490 0.105 4.104
```

Its space group is Cm. For the calculated formation energy, the calculation gives -1.735 eV/atom. The total energy comes out at -6.019 eV per atom.

(3)
Here is CaCoO2 after structural relaxation from the Materials Project database. Energies are from GGA+U.

extended XYZ file:
```
16
Lattice="-0.775 -0.948 2.849 -6.631 -3.789 -3.330 7.520 -4.933 -1.205" Properties=species:S:1:pos:R:3 pbc="T T T"
O -2.212 -1.610 -0.080
O -0.009 -4.549 -2.232
O 0.751 -1.481 0.964
O -2.288 -5.351 -3.145
O 1.295 -7.575 -1.139
O 4.756 -4.598 0.860
O 2.585 -4.095 -1.232
O -2.934 -3.672 -1.072
Co 0.830 -6.289 -2.503
Co -2.819 -3.197 0.834
Co -1.639 -5.331 -1.265
Co 4.324 -3.298 -0.511
Ca -1.178 -1.150 2.229
Ca 3.098 -5.972 -0.017
Ca 0.731 -3.718 0.054
Ca -4.836 -4.925 -0.302
```

Its space group is P1. For the calculated formation energy, the calculation gives -2.005 eV/atom. The total energy comes out at -6.005 eV per atom.

(4)
Here is CaCoO3 after structural relaxation from the Materials Project database. Energies are from GGA+U.

extended XYZ file:
```
5
Lattice="-1.921 2.774 1.668 -2.879 -2.350 0.593 1.479 -0.973 3.321" Properties=species:S:1:pos:R:3 pbc="T T T"
Co 0.000 0.000 0.000
O -1.439 -1.175 0.297
O -0.960 1.387 0.834
O 0.739 -0.486 1.661
Ca -1.660 -0.275 2.791
```

Its space group is Pm-3m. For the calculated formation energy, the calculation gives -1.886 eV/atom. The total energy comes out at -5.938 eV per atom.

(5)
Here is CaCo2O4 after structural relaxation from the Materials Project database. Energies are from GGA+U.

extended XYZ file:
```
14
Lattice="-3.710 -5.754 -1.982 -1.738 -6.910 -0.171 -6.436 -2.804 5.219" Properties=species:S:1:pos:R:3 pbc="T T T"
O -10.970 -14.448 2.722
O -9.238 -13.056 1.725
O -2.646 -2.412 1.341
O -4.788 -6.481 1.077
O -6.529 -10.759 0.241
O -7.096 -8.987 1.990
O -5.355 -4.709 2.825
O -0.914 -1.020 0.344
Co -4.015 -3.447 2.172
Co -7.868 -12.020 0.894
Co -7.237 -7.511 3.086
Co -4.647 -7.957 -0.020
Ca -8.794 -10.153 3.095
Ca -3.090 -5.315 -0.028
```

Its space group is C2/m. For the calculated formation energy, the calculation gives -1.716 eV/atom. The total energy comes out at -6.001 eV per atom.

(6)
Here is CaCoO3 after structural relaxation from the Materials Project database. Energies are from GGA+U.

extended XYZ file:
```
5
Lattice="2.246 2.247 0.000 -2.246 2.247 0.000 0.000 1.432 9.690" Properties=species:S:1:pos:R:3 pbc="T T T"
O 0.000 4.031 6.581
O 0.000 1.767 4.852
O 0.000 4.032 2.936
Ca 0.000 1.784 2.695
Co 0.000 4.049 4.975
```

Its space group is Cm. For the calculated formation energy, the calculation gives -1.563 eV/atom. The total energy comes out at -5.615 eV per atom.

(7)
Here is CaCo2O4 after structural relaxation from the Materials Project database. Energies are from GGA+U.

extended XYZ file:
```
14
Lattice="3.942 -3.794 3.566 -2.534 0.641 5.985 -3.165 -1.636 -5.473" Properties=species:S:1:pos:R:3 pbc="T T T"
O -2.076 -3.293 3.438
O -0.623 -3.370 0.498
O -4.336 -1.129 1.447
O -2.523 -0.167 4.536
O -1.056 -0.556 1.152
O -2.883 -1.207 -1.493
O -0.738 -2.307 6.266
O 0.730 -2.696 2.882
Ca -2.498 -1.286 2.643
Ca 0.704 -1.577 4.775
Co 2.341 -3.649 2.500
Co 0.370 -1.752 0.717
Co 0.759 -4.467 -0.237
Co -0.508 -4.147 2.755
```

Its space group is I4_1/amd. For the calculated formation energy, the calculation gives -1.784 eV/atom. The total energy comes out at -6.069 eV per atom.

(8)
Here is CaCo2O4 after structural relaxation from the Materials Project database. Energies are from GGA+U.

extended XYZ file:
```
56
Lattice="-6.015 1.344 -0.528 -3.171 -1.232 -5.167 -8.224 -17.673 4.773" Properties=species:S:1:pos:R:3 pbc="T T T"
O -12.837 -11.294 0.443
O -4.576 -1.750 -4.029
O -7.335 -3.978 -4.384
O -6.175 -0.303 -1.423
O -10.410 -9.299 0.815
O -9.880 -3.007 -4.388
O -9.463 -12.035 0.882
O -7.985 -5.614 -1.779
O -8.860 -2.596 -1.896
O -9.925 -7.393 -1.980
O -9.207 -16.529 3.534
O -6.944 -8.188 -1.796
O -4.524 -5.974 -1.137
O -13.712 -16.187 0.582
O -12.288 -9.903 -2.035
O -10.096 -13.881 3.337
O -14.216 -11.891 -2.113
O -5.134 -7.666 1.109
O -3.611 -1.218 -1.538
O -8.772 -15.080 1.178
O -11.351 -12.640 -1.981
O -8.462 -6.813 0.680
O -7.431 -14.395 3.439
O -3.440 -5.591 0.996
O -8.930 -10.640 -1.599
O -7.551 -10.049 0.951
O -11.790 -14.479 0.812
O -12.758 -15.910 3.137
O -11.212 -17.310 0.615
O -5.361 -3.198 -1.511
O -5.748 -4.866 0.859
O -8.219 -1.117 -4.419
Co -8.108 -7.194 -2.999
Co -7.877 -11.645 -0.310
Co -4.342 -4.385 -0.227
Co -9.179 0.065 -5.664
Co -6.830 -12.630 2.826
Co -5.188 -1.518 -0.355
Co -3.744 -2.825 -2.710
Co -7.460 -3.862 -2.429
Co -5.762 -9.452 1.716
Co -11.335 -17.143 2.571
Co -11.688 -8.163 -2.633
Co -12.175 -16.066 -0.554
Co -10.084 -13.810 1.487
Co -9.295 -10.360 2.003
Co -9.581 -5.860 -0.597
Co -13.639 -14.740 1.834
Ca -15.265 -15.367 -0.825
Ca -6.221 -0.428 -3.577
Ca -10.644 -4.938 -3.784
Ca -13.052 -13.229 -0.656
Ca -6.502 -6.578 -0.333
Ca -8.719 -8.706 -0.511
Ca -10.879 -10.985 -0.570
Ca -2.180 -2.204 -0.112
```

Its space group is Cm. For the calculated formation energy, the calculation gives -1.746 eV/atom. The total energy comes out at -6.030 eV per atom.